## LiTi3O6 (PBE)

Data for an optimized crystal structure of LiTi3O6.

Cell: 7.274 7.274 5.003 Å, 92.45 92.45 23.50°
Atoms (fractional coordinates):
1 Li 0.000 0.000 0.000
2 Ti 0.133 0.133 0.414
3 Ti 0.438 0.438 0.465
4 Ti 0.783 0.783 0.935
5 O 0.015 0.015 0.632
6 O 0.218 0.218 0.119
7 O 0.356 0.356 0.760
8 O 0.555 0.555 0.225
9 O 0.691 0.691 0.621
10 O 0.886 0.886 0.239

Results
Calculated density   3.88 g cm⁻³
E (MP2020)   -8.8198 eV/atom
Excess energy over the best structure of this formula in the dataset   0.0 meV/atom
Calculated formation energy   -3.292 eV per atom

## CsH3Se2O6 (PBE)

Data for an optimized crystal structure of CsH3Se2O6.

Cell: 5.957 6.731 9.522 Å, 92.15 105.61 91.49°
Atoms (fractional coordinates):
1 Cs 0.000 0.000 0.000
2 Cs 0.227 0.524 0.333
3 H 0.332 0.057 0.414
4 H 0.567 0.773 0.667
5 H 0.588 0.283 0.144
6 H 0.641 0.775 0.196
7 H 0.645 0.287 0.649
8 H 0.901 0.471 0.925
9 Se 0.310 0.026 0.695
10 Se 0.517 0.514 0.951
11 Se 0.714 0.033 0.381
12 Se 0.948 0.526 0.650
13 O 0.045 0.428 0.818
14 O 0.205 0.109 0.523
15 O 0.390 0.776 0.653
16 O 0.399 0.027 0.323
17 O 0.444 0.337 0.069
18 O 0.480 0.730 0.036
19 O 0.575 0.144 0.762
20 O 0.684 0.373 0.571
21 O 0.748 0.792 0.302
22 O 0.776 0.187 0.261
23 O 0.831 0.501 0.014
24 O 0.839 0.747 0.683

Results
Calculated density   3.53 g cm⁻³
E (MP2020)   -5.3837 eV/atom
Calculated formation energy   -1.404 eV per atom

## ErSiPt (PBE)

Data for an optimized crystal structure of ErSiPt.

Cell: 6.936 4.291 7.448 Å, 90.00 90.00 90.00°
Atoms (fractional coordinates):
1 Er 0.002 0.250 0.204
2 Er 0.498 0.750 0.704
3 Er 0.502 0.250 0.296
4 Er 0.998 0.750 0.796
5 Si 0.191 0.250 0.589
6 Si 0.309 0.750 0.089
7 Si 0.691 0.250 0.911
8 Si 0.809 0.750 0.411
9 Pt 0.198 0.750 0.416
10 Pt 0.302 0.250 0.916
11 Pt 0.698 0.750 0.084
12 Pt 0.802 0.250 0.584

Results
Calculated density   11.70 g cm⁻³
Calculated formation energy   -1.205 eV per atom

## Cs2PuCl6 (PBE)

Data for an optimized crystal structure of Cs2PuCl6.

Cell: 7.661 7.661 6.212 Å, 90.00 90.00 120.00°
Atoms (fractional coordinates):
1 Cs 0.333 0.667 0.254
2 Cs 0.667 0.333 0.746
3 Pu 0.000 0.000 0.000
4 Cl 0.163 0.325 0.767
5 Cl 0.163 0.837 0.767
6 Cl 0.325 0.163 0.233
7 Cl 0.675 0.837 0.767
8 Cl 0.837 0.163 0.233
9 Cl 0.837 0.675 0.233

Results
Calculated density   3.80 g cm⁻³
E (MP2020)   -5.3466 eV/atom
Calculated formation energy   -2.330 eV per atom